Na3VS4: relaxed, GGA-PBE.

MP2020-corrected energy ... -319.47 eV/cell
Energy relative to the elements ... -1.292 eV per atom
VASP energy ... -4.740 eV/atom

Cell lengths 13.5878, 13.5878, 8.0100 Å; angles 90.00, 90.00, 90.00 degrees
Last column: nearest neighbours and their distance in Å.
Sites, in units of the cell vectors:
S 0.1291 0.6901 0.6783  1 V 2.17
S 0.3134 0.5088 0.5129  1 V 2.15
S 0.3099 0.1291 0.3217  1 V 2.17
S 0.1901 0.6291 0.1783  1 V 2.17
S 0.6901 0.8709 0.3217  1 V 2.17
S 0.6866 0.4912 0.5129  1 V 2.15
S 0.8099 0.3709 0.1783  1 V 2.17
S 0.8868 0.6078 0.3184  1 V 2.17
S 0.8134 0.9912 0.9871  1 V 2.15
S 0.3383 0.4205 0.1042  1 V 2.16
S 0.1078 0.3868 0.8184  1 V 2.17
S 0.1617 0.9205 0.3958  1 V 2.16
S 0.4912 0.3134 0.4871  1 V 2.15
S 0.3922 0.8868 0.6816  1 V 2.17
S 0.5088 0.6866 0.4871  1 V 2.15
S 0.8383 0.0795 0.3958  1 V 2.16
S 0.9912 0.1866 0.0129  1 V 2.15
S 0.1866 0.0088 0.9871  1 V 2.15
S 0.1132 0.3922 0.3184  1 V 2.17
S 0.0795 0.1617 0.6042  1 V 2.16
S 0.6617 0.5795 0.1042  1 V 2.16
S 0.4205 0.6617 0.8958  1 V 2.16
S 0.3709 0.1901 0.8217  1 V 2.17
S 0.6132 0.1078 0.1816  1 V 2.17
S 0.3868 0.8922 0.1816  1 V 2.17
S 0.0088 0.8134 0.0129  1 V 2.15
S 0.6291 0.8099 0.8217  1 V 2.17
S 0.8709 0.3099 0.6783  1 V 2.17
S 0.6078 0.1132 0.6816  1 V 2.17
S 0.9205 0.8383 0.6042  1 V 2.16
S 0.5795 0.3383 0.8958  1 V 2.16
S 0.8922 0.6132 0.8184  1 V 2.17
Na 0.2557 0.0448 0.6462  6 S 2.85-2.93
Na 0.2535 0.2999 0.5637  7 S 2.98-3.29
Na 0.7465 0.7001 0.5637  7 S 2.98-3.29
Na 0.0000 0.5000 0.5742  6 S 2.89-3.23
Na 0.0000 0.5000 0.0742  6 S 2.89-3.23
Na 0.0000 0.0000 0.7877  6 S 2.86-3.11
Na 0.7443 0.9552 0.6462  6 S 2.85-2.93
Na 0.5000 0.5000 0.7123  6 S 2.86-3.11
Na 0.0000 0.0000 0.2123  6 S 2.86-3.11
Na 0.2001 0.2465 0.0637  7 S 2.98-3.29
Na 0.7001 0.2535 0.4363  7 S 2.98-3.29
Na 0.2999 0.7465 0.4363  7 S 2.98-3.29
Na 0.7557 0.4552 0.8538  6 S 2.85-2.93
Na 0.5000 0.5000 0.2877  6 S 2.86-3.11
Na 0.2443 0.5448 0.8538  6 S 2.85-2.93
Na 0.0448 0.7443 0.3538  6 S 2.85-2.93
Na 0.2465 0.7999 0.9363  7 S 2.98-3.29
Na 0.7535 0.2001 0.9363  7 S 2.98-3.29
Na 0.5000 0.0000 0.4258  6 S 2.89-3.23
Na 0.4552 0.2443 0.1462  6 S 2.85-2.93
Na 0.5448 0.7557 0.1462  6 S 2.85-2.93
Na 0.7999 0.7535 0.0637  7 S 2.98-3.29
Na 0.5000 0.0000 0.9258  6 S 2.89-3.23
Na 0.9552 0.2557 0.3538  6 S 2.85-2.93
V 0.2384 0.4888 0.2796  4 S 2.15-2.17
V 0.4888 0.7616 0.7204  4 S 2.15-2.17
V 0.2616 0.9888 0.2204  4 S 2.15-2.17
V 0.5112 0.2384 0.7204  4 S 2.15-2.17
V 0.7384 0.0112 0.2204  4 S 2.15-2.17
V 0.0112 0.2616 0.7796  4 S 2.15-2.17
V 0.7616 0.5112 0.2796  4 S 2.15-2.17
V 0.9888 0.7384 0.7796  4 S 2.15-2.17